(1)
AlBMo | r2SCAN | optimized geometry

a b c (Å): 3.2057 13.9695 3.0965
angles (deg): 90.00 90.00 90.00
Space group Cmcm (No. 63)
Unique sites:
Al 0.0000 0.1987 0.2500 [4 per cell]
B 0.0000 0.0336 0.2500 [4 per cell]
Mo 0.0000 0.4105 0.2500 [4 per cell]

Calculated values
Total moment ... 0.000 μB per cell
E_form ... -0.487 eV/atom
V ... 138.7 Å³/cell
Energy ... -13.8704 eV per atom

=====

(2)
Nb2AlB6 | r2SCAN | optimized geometry

a b c (Å): 3.0318 3.0318 10.2702
angles (deg): 90.00 90.00 120.00
Space group P6/mmm (No. 191)
Unique sites:
Nb 0.0000 0.0000 0.1657 [2 per cell]
Al 0.0000 0.0000 0.5000 [1 per cell]
B 0.3333 0.6667 0.0000 [2 per cell]
B 0.3333 0.6667 0.3433 [4 per cell]

Calculated values
Total moment ... 0.000 μB per cell
E_form ... -0.482 eV/atom
V ... 81.8 Å³/cell
Energy ... -11.6240 eV per atom

=====

(3)
Al2Ni21B6 | r2SCAN | optimized geometry

a b c (Å): 10.3542 10.3542 10.3542
angles (deg): 90.00 90.00 90.00
Space group Fm-3m (No. 225)
Unique sites:
Al 0.2500 0.2500 0.2500 [8 per cell]
Ni 0.0000 0.0000 0.0000 [4 per cell]
Ni 0.0000 0.1691 0.1691 [48 per cell]
Ni 0.1175 0.1175 0.3825 [32 per cell]
B 0.0000 0.0000 0.2730 [24 per cell]

Calculated values
Total moment ... 0.001 μB per cell
E_form ... -0.332 eV/atom
V ... 1110.1 Å³/cell
Energy ... -10.9930 eV per atom

=====

(4)
Ta3AlB8 | r2SCAN | optimized geometry

a b c (Å): 3.0482 3.0482 13.4518
angles (deg): 90.00 90.00 120.00
Space group P6/mmm (No. 191)
Unique sites:
Ta 0.0000 0.0000 0.0000 [1 per cell]
Ta 0.0000 0.0000 0.2453 [2 per cell]
Al 0.0000 0.0000 0.5000 [1 per cell]
B 0.3333 0.6667 0.1242 [4 per cell]
B 0.3333 0.6667 0.3794 [4 per cell]

Calculated values
Total moment ... 0.000 μB per cell
E_form ... -0.508 eV/atom
V ... 108.2 Å³/cell
Energy ... -18.1145 eV per atom

=====

(5)
Ba21Al40 | r2SCAN | optimized geometry

a b c (Å): 10.6173 10.6173 17.3970
angles (deg): 90.00 90.00 120.00
Space group P31m (No. 157)
Unique sites:
Ba 0.0000 0.0000 0.0000 [1 per cell]
Ba 0.0000 0.0000 0.2159 [1 per cell]
Ba 0.0000 0.3227 0.5010 [3 per cell]
Ba 0.0000 0.3279 0.8956 [3 per cell]
Ba 0.0000 0.3342 0.2853 [3 per cell]
Ba 0.0000 0.6648 0.7867 [3 per cell]
Ba 0.0000 0.6721 0.5739 [3 per cell]
Ba 0.3333 0.6667 0.2147 [2 per cell]
Ba 0.3333 0.6667 0.9980 [2 per cell]
Al 0.0000 0.0000 0.4248 [1 per cell]
Al 0.0000 0.0000 0.5886 [1 per cell]
Al 0.0000 0.0000 0.7887 [1 per cell]
Al 0.0000 0.1987 0.6870 [3 per cell]
Al 0.0000 0.4895 0.1055 [3 per cell]
Al 0.0000 0.6654 0.9932 [3 per cell]
Al 0.0000 0.6727 0.2188 [3 per cell]
Al 0.0000 0.7529 0.3697 [3 per cell]
Al 0.1540 0.3339 0.1039 [6 per cell]
Al 0.1652 0.5017 0.6778 [6 per cell]
Al 0.1877 0.6665 0.4055 [6 per cell]
Al 0.3333 0.6667 0.5462 [2 per cell]
Al 0.3333 0.6667 0.7948 [2 per cell]

Calculated values
Total moment ... 0.000 μB per cell
E_form ... -0.254 eV/atom
V ... 1698.4 Å³/cell
Energy ... -13.7914 eV per atom

=====

(6)
Ba4Al5 | r2SCAN | optimized geometry

a b c (Å): 6.1165 6.1165 18.0410
angles (deg): 90.00 90.00 120.00
Space group P-6m2 (No. 187)
Unique sites:
Ba 0.0000 0.0000 0.1059 [2 per cell]
Ba 0.0000 0.0000 0.3939 [2 per cell]
Ba 0.3333 0.6667 0.1792 [2 per cell]
Ba 0.6667 0.3333 0.3204 [2 per cell]
Al 0.0190 0.5095 0.0000 [3 per cell]
Al 0.3333 0.6667 0.3889 [2 per cell]
Al 0.5095 0.0190 0.5000 [3 per cell]
Al 0.6667 0.3333 0.1110 [2 per cell]

Calculated values
Total moment ... 0.001 μB per cell
E_form ... -0.241 eV/atom
V ... 584.5 Å³/cell
Energy ... -15.7585 eV per atom

=====

(7)
BaCaAl3P2H2O14 | r2SCAN | optimized geometry

a b c (Å): 12.7673 6.8434 7.1366
angles (deg): 90.00 122.12 90.00
Space group Cm (No. 8)
Unique sites:
Ba 0.0000 0.0000 0.0000 [2 per cell]
Ca 0.0010 0.5000 0.4558 [2 per cell]
Al 0.0066 0.0000 0.4527 [2 per cell]
Al 0.2229 0.2482 0.4783 [4 per cell]
P 0.2149 0.5000 0.0972 [2 per cell]
P 0.2716 0.0000 0.8630 [2 per cell]
H 0.2192 0.5000 0.7113 [2 per cell]
H 0.2712 0.0000 0.2809 [2 per cell]
O 0.0652 0.2023 0.3863 [4 per cell]
O 0.1293 0.5000 0.8485 [2 per cell]
O 0.1296 0.0000 0.7610 [2 per cell]
O 0.1908 0.3193 0.2012 [4 per cell]
O 0.2155 0.5000 0.5702 [2 per cell]
O 0.2764 0.0000 0.4237 [2 per cell]
O 0.3062 0.1814 0.7762 [4 per cell]
O 0.3366 0.0000 0.1104 [2 per cell]
O 0.3517 0.5000 0.1668 [2 per cell]
O 0.4028 0.3984 0.5579 [4 per cell]

Calculated values
Total moment ... 2.105 μB per cell
E_form ... -2.566 eV/atom
V ... 528.1 Å³/cell
Energy ... -9.6211 eV per atom

=====

(8)
Ba3Al2F12 | r2SCAN | optimized geometry

a b c (Å): 9.8800 10.2061 9.5044
angles (deg): 90.00 90.00 90.00
Space group Pnnm (No. 58)
Unique sites:
Ba 0.0000 0.0000 0.2480 [4 per cell]
Ba 0.1495 0.3558 0.0000 [4 per cell]
Ba 0.2097 0.2711 0.5000 [4 per cell]
Al 0.1428 0.6012 0.3141 [8 per cell]
F 0.0000 0.5000 0.3657 [4 per cell]
F 0.0340 0.8577 0.0000 [4 per cell]
F 0.0522 0.7472 0.3522 [8 per cell]
F 0.0922 0.6038 0.1356 [8 per cell]
F 0.1435 0.0243 0.5000 [4 per cell]
F 0.1997 0.5915 0.5000 [4 per cell]
F 0.2031 0.1877 0.2216 [8 per cell]
F 0.2317 0.4486 0.2833 [8 per cell]

Calculated values
Total moment ... 0.000 μB per cell
E_form ... -4.066 eV/atom
V ... 958.4 Å³/cell
Energy ... -11.7412 eV per atom

=====

(9)
BaAl9Fe2 | r2SCAN | optimized geometry

a b c (Å): 7.9413 7.9413 3.9505
angles (deg): 90.00 90.00 120.00
Space group P6/mmm (No. 191)
Unique sites:
Ba 0.0000 0.0000 0.0000 [1 per cell]
Al 0.0000 0.5000 0.0000 [3 per cell]
Al 0.2183 0.4367 0.5000 [6 per cell]
Fe 0.3333 0.6667 0.0000 [2 per cell]

Calculated values
Total moment ... 0.000 μB per cell
E_form ... -0.253 eV/atom
V ... 215.8 Å³/cell
Energy ... -9.9122 eV per atom

=====

(10)
BaAlFe4O7 | r2SCAN | optimized geometry

a b c (Å): 5.9344 5.9344 10.1809
angles (deg): 90.00 90.00 120.00
Space group P6_3mc (No. 186)
Unique sites:
Ba 0.3333 0.6667 0.0000 [2 per cell]
Al 0.3333 0.6667 0.3821 [2 per cell]
Fe 0.0000 0.0000 0.4302 [2 per cell]
Fe 0.1905 0.3810 0.6853 [6 per cell]
O 0.0000 0.0000 0.2446 [2 per cell]
O 0.0236 0.5118 0.2821 [6 per cell]
O 0.1763 0.3526 0.4961 [6 per cell]

Calculated values
Total moment ... 34.000 μB per cell
E_form ... -2.023 eV/atom
V ... 310.5 Å³/cell
Energy ... -12.2298 eV per atom

=====

(11)
Ba3Al3Ga2 | r2SCAN | optimized geometry

a b c (Å): 5.9559 5.9559 14.8071
angles (deg): 90.00 90.00 120.00
Space group P6_3/mmc (No. 194)
Unique sites:
Ba 0.0000 0.0000 0.0000 [2 per cell]
Ba 0.3333 0.6667 0.1230 [4 per cell]
Al 0.1595 0.3189 0.7500 [6 per cell]
Ga 0.3333 0.6667 0.6149 [4 per cell]

Calculated values
Total moment ... 0.000 μB per cell
E_form ... -0.382 eV/atom
V ... 454.9 Å³/cell
Energy ... -15.7043 eV per atom

=====

(12)
BaAlGe | r2SCAN | optimized geometry

a b c (Å): 4.3526 4.3526 5.2278
angles (deg): 90.00 90.00 120.00
Space group P-6m2 (No. 187)
Unique sites:
Ba 0.0000 0.0000 0.0000 [1 per cell]
Al 0.6667 0.3333 0.5000 [1 per cell]
Ge 0.3333 0.6667 0.5000 [1 per cell]

Calculated values
Total moment ... 0.000 μB per cell
E_form ... -0.536 eV/atom
V ... 85.8 Å³/cell
Energy ... -16.2373 eV per atom

=====

(13)
Ba7Al4Ge9 | r2SCAN | optimized geometry

a b c (Å): 10.4178 25.8207 8.7171
angles (deg): 90.00 90.00 90.00
Space group Fmm2 (No. 42)
Unique sites:
Ba 0.0000 0.0000 0.0000 [4 per cell]
Ba 0.2234 0.1028 0.6661 [16 per cell]
Ba 0.2500 0.2500 0.4195 [8 per cell]
Al 0.0000 0.0608 0.3730 [8 per cell]
Al 0.0000 0.2004 0.1638 [8 per cell]
Ge 0.0000 0.0000 0.6095 [4 per cell]
Ge 0.0000 0.1453 0.9316 [8 per cell]
Ge 0.0000 0.1558 0.4136 [8 per cell]
Ge 0.0000 0.2031 0.6788 [8 per cell]
Ge 0.1891 0.0000 0.3948 [8 per cell]

Calculated values
Total moment ... 0.000 μB per cell
E_form ... -0.578 eV/atom
V ... 2344.9 Å³/cell
Energy ... -17.4412 eV per atom